Record 1
Entry from the Materials Project: crystalline LiCr2P3O13 at its relaxed geometry (GGA+U). Values from VASP.

Calculated values
Polymorph energy (0 for the lowest one), eV/f.u.: 0.00
Calculated total energy, eV/atom: -6.955
Energy of formation from the pure elements, eV/atom: -2.279

Quantum ESPRESSO input file:
```
&SYSTEM
  ibrav = 0, nat = 76, ntyp = 4
/
ATOMIC_SPECIES
O 16.00 O.upf
Cr 52.00 Cr.upf
P 30.97 P.upf
Li 6.94 Li.upf
CELL_PARAMETERS angstrom
21.6394 0.0000 0.0000
0.0000 6.1804 0.0000
0.0000 1.1244 6.8820
ATOMIC_POSITIONS angstrom
O 16.7709 5.1092 3.0889
O 10.3747 1.9253 1.4577
O 1.2285 5.9154 1.5493
O 9.4308 0.9635 5.4389
O 4.5111 1.6997 6.5103
O 20.2505 3.8133 4.8840
O 5.9512 4.7236 0.3520
O 7.2659 2.2456 4.8416
O 15.6882 2.5812 6.5299
O 8.3508 1.3959 0.1519
O 11.2647 5.3795 5.4243
O 5.1198 5.7853 4.7420
O 1.3889 3.4915 1.9980
O 3.2826 1.5887 1.6290
O 15.9395 5.1719 5.5810
O 18.0856 2.5312 5.4814
O 7.5371 5.2411 5.0700
O 9.0776 3.8778 0.3296
O 2.6809 6.2792 5.7524
O 17.5979 3.2645 0.4609
O 12.5618 3.4270 6.5523
O 4.0415 4.0403 6.4211
O 1.7421 1.3498 3.7706
O 12.1476 1.8336 3.5308
O 21.1944 1.7271 1.9833
O 12.0482 3.9174 1.8917
O 2.4689 5.0483 3.5929
O 5.6999 2.1329 1.3010
O 20.4109 1.3894 5.3327
O 9.5912 3.3874 4.9902
O 6.3086 4.2277 3.0693
O 19.1705 2.2565 3.2891
O 4.8685 2.1956 3.7930
O 8.1388 2.6268 2.3114
O 1.3279 2.9432 6.7921
O 14.8612 0.7365 3.9018
O 9.4918 5.4712 3.3512
O 12.2086 6.3413 1.4430
O 19.8973 5.9550 3.1113
O 18.9585 1.0256 1.1296
O 0.4450 5.5777 4.8987
O 16.5196 1.5195 2.1400
O 13.2886 5.9089 6.7300
O 15.3308 3.0771 3.8126
O 20.3115 4.3616 0.0898
O 14.1023 2.0637 1.8119
O 18.3568 5.7161 5.2529
O 3.5538 4.7736 1.4006
O 6.7782 6.5683 2.9801
O 14.3735 5.0592 2.0404
O 13.5006 4.6780 4.5705
O 17.1283 5.6051 0.3716
Cr 9.4466 5.2987 4.9356
Cr 4.4837 5.9266 6.5717
Cr 15.3034 5.0306 3.7512
Cr 17.1557 1.3782 0.3102
Cr 1.3731 1.6463 1.4946
Cr 20.2663 5.6585 5.3874
Cr 6.3360 2.2742 3.1307
Cr 12.1928 2.0061 1.9464
P 2.1677 4.7988 2.0240
P 6.4242 5.4420 4.0103
P 15.2152 1.8628 2.8716
P 19.4717 2.5060 4.8579
P 17.2439 5.5152 6.3126
P 9.0305 2.5596 1.0870
P 1.7892 6.2120 4.5280
P 19.8502 1.0928 2.3540
P 4.3955 1.7896 0.5693
P 8.6520 2.2708 5.4650
P 12.9874 5.0340 1.4170
P 12.6089 4.7452 5.7950
Li 2.9068 2.7608 4.7813
Li 7.9129 5.2888 1.3403
Li 18.7326 4.5440 2.1007
Li 13.7265 2.0160 5.5417
```

---

Record 2
Entry from the Materials Project: crystalline Li4Co5SnO12 at its relaxed geometry (GGA+U). Values from VASP.

Calculated values
Polymorph energy (0 for the lowest one), eV/f.u.: 0.74
Calculated total energy, eV/atom: -5.740
Energy of formation from the pure elements, eV/atom: -1.643

Quantum ESPRESSO input file:
```
&SYSTEM
  ibrav = 0, nat = 22, ntyp = 4
/
ATOMIC_SPECIES
O 16.00 O.upf
Co 58.93 Co.upf
Li 6.94 Li.upf
Sn 118.71 Sn.upf
CELL_PARAMETERS angstrom
-3.1824 -3.9526 -0.4046
-2.9374 -0.5064 -4.0584
8.1840 -3.9022 -4.3477
ATOMIC_POSITIONS angstrom
O 0.2757 -6.0569 -5.6542
O 1.7373 -2.3061 -3.0732
O -1.1246 -0.8825 -3.0947
O 4.3915 -5.0785 -6.6252
O 0.7533 -4.6395 -2.0836
O -2.3274 -3.2807 -2.1884
O 2.4123 -4.5647 -4.1752
O 2.4392 -6.3958 -8.1858
O -3.3111 -2.4728 -4.6795
O 4.1991 -3.1855 -2.7573
O 3.1887 -7.4780 -5.7175
O -0.2402 -3.7969 -4.6469
Co 6.1441 -5.3882 -5.8348
Co 0.4509 -5.4144 -3.8640
Co 2.4841 -3.9216 -2.3992
Co -4.0799 -2.9723 -2.9766
Co 1.5976 -2.9630 -4.9475
Li 2.2872 -5.5626 -6.1954
Li -0.2063 -2.8072 -2.5924
Li 4.3414 -4.0758 -4.6743
Li -2.2699 -4.2963 -4.1159
Sn -3.1819 -3.9522 -0.4062
```